[1]
Density functional theory data (GGA-PBE) for an optimized crystal structure of Co2PbN2.

Cell: 3.2621 3.2621 7.0801 Å, 90.00 90.00 120.00°
With the nearest neighbours (Å) after each atom.
Fractional coordinates of all 5 atoms:
Co 0.3333 0.6667 0.3859  4 N 1.91
Co 0.6667 0.3333 0.6141  4 N 1.91
Pb 0.0000 0.0000 0.0000  6 N 3.08, 6 Pb 3.26, 6 Co 3.32
N 0.3333 0.6667 0.6563  4 Co 1.91
N 0.6667 0.3333 0.3437  4 Co 1.91

Theoretical density: 9.0 g cm⁻³
Formation enthalpy at 0 K: 201 meV per atom
Space-group type: P-3m1
E_tot: -6.575 eV/atom

***

[2]
Density functional theory data (GGA-PBE) for an optimized crystal structure of Co3Pb3N5.

Cell: 5.7954 7.5218 8.0818 Å, 107.01 100.92 96.63°
With the nearest neighbours (Å) after each atom.
Fractional coordinates of all 22 atoms:
Co 0.0899 0.1863 0.0250  4 N 1.76-1.93
Co 0.1212 0.4288 0.7329  4 N 1.80-1.98
Co 0.3254 0.5164 0.4071  4 N 1.85-1.88
Co 0.6746 0.4836 0.5929  4 N 1.85-1.88
Co 0.8788 0.5712 0.2671  4 N 1.80-1.98
Co 0.9101 0.8137 0.9750  4 N 1.76-1.93
Pb 0.2347 0.0488 0.4223  2 N 2.41-2.43
Pb 0.2949 0.8318 0.7494  3 N 2.45-2.66
Pb 0.3605 0.6734 0.1198  4 N 2.58-2.72
Pb 0.6395 0.3266 0.8802  4 N 2.58-2.72
Pb 0.7051 0.1682 0.2506  3 N 2.45-2.66
Pb 0.7653 0.9512 0.5777  2 N 2.41-2.43
N 0.0615 0.3624 0.2291  3 Co 1.84-1.98
N 0.1644 0.7187 0.4059  2 Co 1.84-1.88
N 0.1917 0.9844 0.1070  2 Co 1.87-1.93
N 0.1981 0.3137 0.8962  2 Co 1.76-1.80
N 0.3644 0.4778 0.6262  3 Co 1.84-1.87
N 0.6356 0.5222 0.3738  3 Co 1.84-1.87
N 0.8019 0.6863 0.1038  2 Co 1.76-1.80
N 0.8083 0.0156 0.8930  2 Co 1.87-1.93
N 0.8356 0.2813 0.5941  2 Co 1.84-1.88
N 0.9385 0.6376 0.7709  3 Co 1.84-1.98

Theoretical density: 8.9 g cm⁻³
Formation enthalpy at 0 K: 348 meV per atom
Space-group type: P-1
E_tot: -6.228 eV/atom

***

[3]
Density functional theory data (GGA-PBE) for an optimized crystal structure of Co2Pb3N4.

Cell: 7.3476 9.4846 8.7155 Å, 90.00 90.00 90.00°
With the nearest neighbours (Å) after each atom.
Fractional coordinates of all 36 atoms:
Co 0.1566 0.2500 0.2500  4 N 1.80-1.95
Co 0.2500 0.0000 0.2033  4 N 1.82-1.94
Co 0.2500 0.5000 0.2967  4 N 1.82-1.94
Co 0.3434 0.7500 0.2500  4 N 1.80-1.95
Co 0.6566 0.2500 0.7500  4 N 1.80-1.95
Co 0.7500 0.0000 0.7967  4 N 1.82-1.94
Co 0.7500 0.5000 0.7033  4 N 1.82-1.94
Co 0.8434 0.7500 0.7500  4 N 1.80-1.95
Pb 0.9996 0.1905 0.5566  3 N 2.41-2.48
Pb 0.9996 0.3095 0.9434  3 N 2.41-2.48
Pb 0.0004 0.6905 0.0566  3 N 2.41-2.48
Pb 0.0004 0.8095 0.4434  3 N 2.41-2.48
Pb 0.2500 0.0000 0.8409  4 N 2.44-2.73
Pb 0.2500 0.5000 0.6591  4 N 2.44-2.73
Pb 0.4996 0.1905 0.4434  3 N 2.41-2.48
Pb 0.4996 0.3095 0.0566  3 N 2.41-2.48
Pb 0.5004 0.6905 0.9434  3 N 2.41-2.48
Pb 0.5004 0.8095 0.5566  3 N 2.41-2.48
Pb 0.7500 0.0000 0.1591  4 N 2.44-2.73
Pb 0.7500 0.5000 0.3409  4 N 2.44-2.73
N 0.0610 0.0823 0.3052  2 Co 1.80-1.82
N 0.0610 0.4177 0.1948  2 Co 1.80-1.82
N 0.2362 0.1575 0.0623  2 Co 1.94-1.95
N 0.2362 0.3425 0.4377  2 Co 1.94-1.95
N 0.2638 0.6575 0.4377  2 Co 1.94-1.95
N 0.2638 0.8425 0.0623  2 Co 1.94-1.95
N 0.4390 0.5823 0.1948  2 Co 1.80-1.82
N 0.4390 0.9177 0.3052  2 Co 1.80-1.82
N 0.5610 0.0823 0.6948  2 Co 1.80-1.82
N 0.5610 0.4177 0.8052  2 Co 1.80-1.82
N 0.7362 0.1575 0.9377  2 Co 1.94-1.95
N 0.7362 0.3425 0.5623  2 Co 1.94-1.95
N 0.7638 0.6575 0.5623  2 Co 1.94-1.95
N 0.7638 0.8425 0.9377  2 Co 1.94-1.95
N 0.9390 0.5823 0.8052  2 Co 1.80-1.82
N 0.9390 0.9177 0.6948  2 Co 1.80-1.82

Theoretical density: 8.7 g cm⁻³
Formation enthalpy at 0 K: 371 meV per atom
Space-group type: Pnna
E_tot: -5.990 eV/atom

***

[4]
Density functional theory data (GGA-PBE) for an optimized crystal structure of CoPd2N2.

Cell: 8.4291 8.4291 8.4291 Å, 19.24 19.24 19.24°
With the nearest neighbours (Å) after each atom.
Fractional coordinates of all 5 atoms:
Co 0.0000 0.0000 0.0000  6 N 1.92
Pd 0.2135 0.2135 0.2135  1 N 1.96
Pd 0.7865 0.7865 0.7865  1 N 1.96
N 0.2923 0.2923 0.2923  3 Co 1.92, 1 Pd 1.96
N 0.7077 0.7077 0.7077  3 Co 1.92, 1 Pd 1.96

Theoretical density: 8.8 g cm⁻³
Formation enthalpy at 0 K: 276 meV per atom
Space-group type: R-3m
E_tot: -6.408 eV/atom

***

[5]
Density functional theory data (GGA-PBE) for an optimized crystal structure of RbCoN.

Cell: 10.8883 3.4953 6.4845 Å, 90.00 90.00 90.00°
With the nearest neighbours (Å) after each atom.
Fractional coordinates of all 12 atoms:
Rb 0.1629 0.2500 0.0788  2 N 2.99-3.08
Rb 0.3371 0.7500 0.5788  2 N 2.99-3.08
Rb 0.6629 0.2500 0.4212  2 N 2.99-3.08
Rb 0.8371 0.7500 0.9212  2 N 2.99-3.08
Co 0.0445 0.2500 0.5933  3 N 1.79-1.94
Co 0.4555 0.7500 0.0933  3 N 1.79-1.94
Co 0.5445 0.2500 0.9067  3 N 1.79-1.94
Co 0.9555 0.7500 0.4067  3 N 1.79-1.94
N 0.0653 0.7500 0.6416  3 Co 1.79-1.94
N 0.4347 0.2500 0.1416  3 Co 1.79-1.94
N 0.5653 0.7500 0.8584  3 Co 1.79-1.94
N 0.9347 0.2500 0.3584  3 Co 1.79-1.94

Theoretical density: 4.3 g cm⁻³
Formation enthalpy at 0 K: -112 meV per atom
Space-group type: Pnma
E_tot: -5.467 eV/atom

***

[6]
Density functional theory data (GGA-PBE) for an optimized crystal structure of CoReN2.

Cell: 2.8242 2.8242 11.2587 Å, 90.00 90.00 120.00°
With the nearest neighbours (Å) after each atom.
Fractional coordinates of all 8 atoms:
Co 0.0000 0.0000 0.0000  6 N 2.22
Co 0.0000 0.0000 0.5000  6 N 2.22
Re 0.3333 0.6667 0.2500  6 N 2.09
Re 0.6667 0.3333 0.7500  6 N 2.09
N 0.3333 0.6667 0.6334  3 Re 2.09, 3 Co 2.22
N 0.3333 0.6667 0.8666  3 Re 2.09, 3 Co 2.22
N 0.6667 0.3333 0.1334  3 Re 2.09, 3 Co 2.22
N 0.6667 0.3333 0.3666  3 Re 2.09, 3 Co 2.22

Theoretical density: 11.7 g cm⁻³
Formation enthalpy at 0 K: 194 meV per atom
Space-group type: P6_3/mmc
E_tot: -8.682 eV/atom

***

[7]
Density functional theory data (GGA-PBE) for an optimized crystal structure of CoSi2N3.

Cell: 5.3406 5.3406 4.8265 Å, 90.00 90.00 60.72°
With the nearest neighbours (Å) after each atom.
Fractional coordinates of all 12 atoms:
Co 0.1029 0.8971 0.5000  2 N 1.97-2.04
Co 0.8971 0.1029 0.0000  2 N 1.97-2.04
Si 0.1726 0.4894 0.0060  4 N 1.71-1.78
Si 0.4894 0.1726 0.5060  4 N 1.71-1.78
Si 0.5106 0.8274 0.0060  4 N 1.71-1.78
Si 0.8274 0.5106 0.5060  4 N 1.71-1.78
N 0.1613 0.4495 0.6443  3 Si 1.76-1.78
N 0.2476 0.7524 0.1099  2 Si 1.71
N 0.4495 0.1613 0.1443  3 Si 1.76-1.78
N 0.5505 0.8387 0.6443  3 Si 1.76-1.78
N 0.7524 0.2476 0.6099  2 Si 1.71
N 0.8387 0.5505 0.1443  3 Si 1.76-1.78

Theoretical density: 4.3 g cm⁻³
Formation enthalpy at 0 K: -782 meV per atom
Space-group type: Cmc2_1
E_tot: -7.763 eV/atom

***

[8]
Density functional theory data (GGA-PBE) for an optimized crystal structure of CoSiN2.

Cell: 5.1512 5.1512 5.1512 Å, 130.48 130.48 72.64°
With the nearest neighbours (Å) after each atom.
Fractional coordinates of all 8 atoms:
Co 0.0000 0.0000 0.0000  4 N 1.95
Co 0.7500 0.2500 0.5000  4 N 1.95
Si 0.2500 0.7500 0.5000  4 N 1.75
Si 0.5000 0.5000 0.0000  4 N 1.75
N 0.1642 0.6250 0.0392  2 Si 1.75, 2 Co 1.95
N 0.3750 0.4142 0.5392  2 Si 1.75, 2 Co 1.95
N 0.5858 0.1250 0.9608  2 Si 1.75, 2 Co 1.95
N 0.8750 0.8358 0.4608  2 Si 1.75, 2 Co 1.95

Theoretical density: 4.9 g cm⁻³
Formation enthalpy at 0 K: -562 meV per atom
Space-group type: I-42d
E_tot: -7.683 eV/atom

***

[9]
Density functional theory data (GGA-PBE) for an optimized crystal structure of Co5Si2N6.

Cell: 10.2951 10.2951 5.1539 Å, 90.00 90.00 90.00°
With the nearest neighbours (Å) after each atom.
Fractional coordinates of all 52 atoms:
Co 0.0000 0.5000 0.0000  4 N 1.92
Co 0.0000 0.5000 0.5000  2 N 1.90
Co 0.0766 0.0892 0.3037  2 N 1.92-1.93
Co 0.0892 0.9234 0.6963  2 N 1.92-1.93
Co 0.1101 0.6860 0.2255  3 N 1.89-1.94
Co 0.1860 0.6101 0.7745  3 N 1.89-1.94
Co 0.3140 0.1101 0.7745  3 N 1.89-1.94
Co 0.3899 0.1860 0.2255  3 N 1.89-1.94
Co 0.4108 0.4234 0.6963  2 N 1.92-1.93
Co 0.4234 0.5892 0.3037  2 N 1.92-1.93
Co 0.5000 0.0000 0.0000  4 N 1.92
Co 0.5000 0.0000 0.5000  2 N 1.90
Co 0.5766 0.4108 0.3037  2 N 1.92-1.93
Co 0.5892 0.5766 0.6963  2 N 1.92-1.93
Co 0.6101 0.8140 0.2255  3 N 1.89-1.94
Co 0.6860 0.8899 0.7745  3 N 1.89-1.94
Co 0.8140 0.3899 0.7745  3 N 1.89-1.94
Co 0.8899 0.3140 0.2255  3 N 1.89-1.94
Co 0.9108 0.0766 0.6963  2 N 1.92-1.93
Co 0.9234 0.9108 0.3037  2 N 1.92-1.93
Si 0.1159 0.2655 0.7598  4 N 1.70-1.76
Si 0.2345 0.3841 0.2402  4 N 1.70-1.76
Si 0.2655 0.8841 0.2402  4 N 1.70-1.76
Si 0.3841 0.7655 0.7598  4 N 1.70-1.76
Si 0.6159 0.2345 0.7598  4 N 1.70-1.76
Si 0.7345 0.1159 0.2402  4 N 1.70-1.76
Si 0.7655 0.6159 0.2402  4 N 1.70-1.76
Si 0.8841 0.7345 0.7598  4 N 1.70-1.76
N 0.0274 0.6774 0.8980  1 Si 1.74, 3 Co 1.89-1.92
N 0.1034 0.8659 0.3404  1 Si 1.76, 3 Co 1.92-1.94
N 0.1307 0.3693 0.5000  2 Si 1.72, 1 Co 1.90
N 0.1341 0.1034 0.6596  1 Si 1.76, 3 Co 1.92-1.94
N 0.1774 0.5274 0.1020  1 Si 1.74, 3 Co 1.89-1.92
N 0.2294 0.2706 0.0000  2 Si 1.70
N 0.2706 0.7706 0.0000  2 Si 1.70
N 0.3226 0.0274 0.1020  1 Si 1.74, 3 Co 1.89-1.92
N 0.3659 0.6034 0.6596  1 Si 1.76, 3 Co 1.92-1.94
N 0.3693 0.8693 0.5000  2 Si 1.72, 1 Co 1.90
N 0.3966 0.3659 0.3404  1 Si 1.76, 3 Co 1.92-1.94
N 0.4726 0.1774 0.8980  1 Si 1.74, 3 Co 1.89-1.92
N 0.5274 0.8226 0.8980  1 Si 1.74, 3 Co 1.89-1.92
N 0.6034 0.6341 0.3404  1 Si 1.76, 3 Co 1.92-1.94
N 0.6307 0.1307 0.5000  2 Si 1.72, 1 Co 1.90
N 0.6341 0.3966 0.6596  1 Si 1.76, 3 Co 1.92-1.94
N 0.6774 0.9726 0.1020  1 Si 1.74, 3 Co 1.89-1.92
N 0.7294 0.2294 0.0000  2 Si 1.70
N 0.7706 0.7294 0.0000  2 Si 1.70
N 0.8226 0.4726 0.1020  1 Si 1.74, 3 Co 1.89-1.92
N 0.8659 0.8966 0.6596  1 Si 1.76, 3 Co 1.92-1.94
N 0.8693 0.6307 0.5000  2 Si 1.72, 1 Co 1.90
N 0.8966 0.1341 0.3404  1 Si 1.76, 3 Co 1.92-1.94
N 0.9726 0.3226 0.8980  1 Si 1.74, 3 Co 1.89-1.92

Theoretical density: 5.3 g cm⁻³
Formation enthalpy at 0 K: 50 meV per atom
Space-group type: P-4b2
E_tot: -7.200 eV/atom

***

[10]
Density functional theory data (GGA-PBE) for an optimized crystal structure of Sm2Co17N2.

Cell: 6.3390 6.3390 6.3771 Å, 95.92 95.92 83.80°
With the nearest neighbours (Å) after each atom.
Fractional coordinates of all 21 atoms:
Sm 0.1501 0.1501 0.3331  2 N 2.49
Sm 0.8499 0.8499 0.6669  2 N 2.49
Co 0.0000 0.5000 0.0000  10 Co 2.37-2.57
Co 0.1528 0.6427 0.3397  1 N 1.84
Co 0.1544 0.1544 0.8663  9 Co 2.41-2.58
Co 0.2170 0.5028 0.7164  1 N 1.85
Co 0.2184 0.7816 0.0000  10 Co 2.37-2.65
Co 0.3574 0.8472 0.6603  1 N 1.84
Co 0.4006 0.4006 0.0902  4 Co 2.33-2.57
Co 0.4972 0.7830 0.2836  1 N 1.85
Co 0.5000 0.0000 0.0000  10 Co 2.37-2.57
Co 0.5000 0.5000 0.5000  10 Co 2.37-2.65
Co 0.5028 0.2170 0.7164  1 N 1.85
Co 0.5994 0.5994 0.9098  4 Co 2.33-2.57
Co 0.6427 0.1528 0.3397  1 N 1.84
Co 0.7816 0.2184 0.0000  10 Co 2.37-2.65
Co 0.7830 0.4972 0.2836  1 N 1.85
Co 0.8456 0.8456 0.1337  9 Co 2.41-2.58
Co 0.8472 0.3574 0.6603  1 N 1.84
N 0.0000 0.5000 0.5000  4 Co 1.84-1.85
N 0.5000 0.0000 0.5000  4 Co 1.84-1.85

Theoretical density: 8.8 g cm⁻³
Formation enthalpy at 0 K: -148 meV per atom
Space-group type: C2/m
E_tot: -7.112 eV/atom

***

[11]
Density functional theory data (GGA-PBE) for an optimized crystal structure of Co4SnN4.

Cell: 5.3357 5.5576 7.3917 Å, 94.55 98.43 106.86°
With the nearest neighbours (Å) after each atom.
Fractional coordinates of all 18 atoms:
Co 0.0983 0.3501 0.4405  3 N 1.80-1.86
Co 0.1497 0.4194 0.0954  4 N 1.83-1.94
Co 0.1965 0.9482 0.1075  4 N 1.83-1.91
Co 0.3685 0.6966 0.7324  3 N 1.80-1.84
Co 0.6315 0.3034 0.2676  3 N 1.80-1.84
Co 0.8035 0.0518 0.8925  4 N 1.83-1.91
Co 0.8503 0.5806 0.9046  4 N 1.83-1.94
Co 0.9017 0.6499 0.5595  3 N 1.80-1.86
Sn 0.3907 0.1943 0.6961  1 N 2.22
Sn 0.6093 0.8057 0.3039  1 N 2.22
N 0.1667 0.1645 0.9286  3 Co 1.83-1.88
N 0.2334 0.6780 0.9475  4 Co 1.84-1.93
N 0.2347 0.6951 0.4935  3 Co 1.80-1.86
N 0.2805 0.2387 0.2829  4 Co 1.80-1.94
N 0.7195 0.7613 0.7171  4 Co 1.80-1.94
N 0.7653 0.3049 0.5065  3 Co 1.80-1.86
N 0.7666 0.3220 0.0525  4 Co 1.84-1.93
N 0.8333 0.8355 0.0714  3 Co 1.83-1.88

Theoretical density: 6.6 g cm⁻³
Formation enthalpy at 0 K: 137 meV per atom
Space-group type: P-1
E_tot: -7.012 eV/atom

***

[12]
Density functional theory data (GGA-PBE) for an optimized crystal structure of CoSnN2.

Cell: 5.6743 6.7632 5.5189 Å, 90.00 90.00 90.00°
With the nearest neighbours (Å) after each atom.
Fractional coordinates of all 16 atoms:
Co 0.0706 0.1274 0.0000  4 N 1.89-1.90
Co 0.4294 0.6274 0.5000  4 N 1.89-1.90
Co 0.5706 0.3726 0.0000  4 N 1.89-1.90
Co 0.9294 0.8726 0.5000  4 N 1.89-1.90
Sn 0.0873 0.6279 0.0062  4 N 2.20-2.25
Sn 0.4127 0.1279 0.5062  4 N 2.20-2.25
Sn 0.5873 0.8721 0.0062  4 N 2.20-2.25
Sn 0.9127 0.3721 0.5062  4 N 2.20-2.25
N 0.0623 0.0945 0.3409  2 Co 1.90
N 0.1082 0.6476 0.4125  2 Co 1.89
N 0.3918 0.1476 0.9125  2 Co 1.89
N 0.4377 0.5945 0.8409  2 Co 1.90
N 0.5623 0.4055 0.3409  2 Co 1.90
N 0.6082 0.8524 0.4125  2 Co 1.89
N 0.8918 0.3524 0.9125  2 Co 1.89
N 0.9377 0.9055 0.8409  2 Co 1.90

Theoretical density: 6.4 g cm⁻³
Formation enthalpy at 0 K: 262 meV per atom
Space-group type: Pna2_1
E_tot: -6.505 eV/atom

***

What did the fourth record say?
Density functional theory data (GGA-PBE) for an optimized crystal structure of CoPd2N2.

Cell: 8.4291 8.4291 8.4291 Å, 19.24 19.24 19.24°
With the nearest neighbours (Å) after each atom.
Fractional coordinates of all 5 atoms:
Co 0.0000 0.0000 0.0000  6 N 1.92
Pd 0.2135 0.2135 0.2135  1 N 1.96
Pd 0.7865 0.7865 0.7865  1 N 1.96
N 0.2923 0.2923 0.2923  3 Co 1.92, 1 Pd 1.96
N 0.7077 0.7077 0.7077  3 Co 1.92, 1 Pd 1.96

Theoretical density: 8.8 g cm⁻³
Formation enthalpy at 0 K: 276 meV per atom
Space-group type: R-3m
E_tot: -6.408 eV/atom

***

Copy entry 7 word for word.
Density functional theory data (GGA-PBE) for an optimized crystal structure of CoSi2N3.

Cell: 5.3406 5.3406 4.8265 Å, 90.00 90.00 60.72°
With the nearest neighbours (Å) after each atom.
Fractional coordinates of all 12 atoms:
Co 0.1029 0.8971 0.5000  2 N 1.97-2.04
Co 0.8971 0.1029 0.0000  2 N 1.97-2.04
Si 0.1726 0.4894 0.0060  4 N 1.71-1.78
Si 0.4894 0.1726 0.5060  4 N 1.71-1.78
Si 0.5106 0.8274 0.0060  4 N 1.71-1.78
Si 0.8274 0.5106 0.5060  4 N 1.71-1.78
N 0.1613 0.4495 0.6443  3 Si 1.76-1.78
N 0.2476 0.7524 0.1099  2 Si 1.71
N 0.4495 0.1613 0.1443  3 Si 1.76-1.78
N 0.5505 0.8387 0.6443  3 Si 1.76-1.78
N 0.7524 0.2476 0.6099  2 Si 1.71
N 0.8387 0.5505 0.1443  3 Si 1.76-1.78

Theoretical density: 4.3 g cm⁻³
Formation enthalpy at 0 K: -782 meV per atom
Space-group type: Cmc2_1
E_tot: -7.763 eV/atom

***

> The lowest formation enthalpy at 0 K belongs to which entry?

CoSi2N3